Record 1
DFT (PBE with a Hubbard U) results for crystalline NaCaTiMnSi2O8F at its relaxed geometry.

## Properties
Symmetry: P2_1/c (14)
ΔE_f in meV per atom: -3184

Cell lengths 7.0932, 9.8686, 10.9135 Å; angles 90.00, 107.89, 90.00 degrees
Positions (direct):
Na  0.1631  0.1210  0.0743
Na  0.1631  0.3790  0.5743
Na  0.8369  0.6210  0.4257
Na  0.8369  0.8790  0.9257
Ca  0.0253  0.6085  0.8019
Ca  0.0253  0.8915  0.3019
Ca  0.9747  0.1085  0.6981
Ca  0.9747  0.3915  0.1981
Ti  0.4784  0.1014  0.7173
Ti  0.4784  0.3986  0.2173
Ti  0.5216  0.6014  0.7827
Ti  0.5216  0.8986  0.2827
Mn  0.3642  0.6304  0.4388
Mn  0.3642  0.8696  0.9388
Mn  0.6358  0.1304  0.0612
Mn  0.6358  0.3696  0.5612
Si  0.1736  0.6666  0.1216
Si  0.1736  0.8334  0.6216
Si  0.2902  0.1650  0.3786
Si  0.2902  0.3350  0.8786
Si  0.7098  0.6650  0.1214
Si  0.7098  0.8350  0.6214
Si  0.8264  0.1666  0.3784
Si  0.8264  0.3334  0.8784
O  0.0476  0.1606  0.3574
O  0.0476  0.3394  0.8574
O  0.1516  0.7372  0.9844
O  0.1516  0.7628  0.4844
O  0.2416  0.5070  0.1316
O  0.2416  0.9930  0.6316
O  0.2952  0.2354  0.7582
O  0.2952  0.2646  0.2582
O  0.3025  0.7458  0.7478
O  0.3025  0.7542  0.2478
O  0.3386  0.0096  0.3458
O  0.3386  0.4904  0.8458
O  0.4050  0.2207  0.5216
O  0.4050  0.2793  0.0216
O  0.4598  0.5265  0.6267
O  0.4598  0.9735  0.1267
O  0.5402  0.0265  0.8733
O  0.5402  0.4735  0.3733
O  0.5950  0.7207  0.9784
O  0.5950  0.7793  0.4784
O  0.6614  0.5096  0.1542
O  0.6614  0.9904  0.6542
O  0.6975  0.2458  0.7522
O  0.6975  0.2542  0.2522
O  0.7048  0.7354  0.7418
O  0.7048  0.7646  0.2418
O  0.7584  0.0070  0.3684
O  0.7584  0.4930  0.8684
O  0.8484  0.2372  0.5156
O  0.8484  0.2628  0.0156
O  0.9524  0.6606  0.1426
O  0.9524  0.8394  0.6426
F  0.0989  0.0052  0.8875
F  0.0989  0.4948  0.3875
F  0.9011  0.5052  0.6125
F  0.9011  0.9948  0.1125

Record 2
DFT (PBE with a Hubbard U) results for crystalline Li24MnCr11O36 at its relaxed geometry.

## Properties
Symmetry: C2 (5)
ΔE_f in meV per atom: -2230

Cell lengths 8.7752, 8.7752, 9.6953 Å; angles 97.85, 97.85, 58.97 degrees
Positions (direct):
Li  0.0000  0.0000  0.0000
Li  0.0777  0.7561  0.7503
Li  0.0843  0.0820  0.7500
Li  0.0920  0.4067  0.7497
Li  0.1677  0.1653  0.4995
Li  0.2439  0.9223  0.2497
Li  0.2516  0.2484  0.2502
Li  0.2603  0.5731  0.2509
Li  0.3348  0.3318  0.0005
Li  0.4102  0.0887  0.7491
Li  0.4184  0.4157  0.7502
Li  0.4269  0.7397  0.7491
Li  0.5022  0.4978  0.5000
Li  0.5797  0.2533  0.2487
Li  0.5843  0.5816  0.2498
Li  0.5933  0.9080  0.2503
Li  0.6682  0.6652  0.9995
Li  0.7467  0.4203  0.7513
Li  0.7516  0.7484  0.7498
Li  0.7603  0.0744  0.7504
Li  0.8347  0.8323  0.5005
Li  0.9113  0.5898  0.2509
Li  0.9180  0.9157  0.2500
Li  0.9256  0.2397  0.2496
Mn  0.6693  0.3307  0.0000
Cr  0.0064  0.6589  0.0008
Cr  0.1637  0.5029  0.4999
Cr  0.1730  0.8270  0.5000
Cr  0.3291  0.6709  0.0000
Cr  0.3411  0.9936  0.9992
Cr  0.4971  0.8363  0.5001
Cr  0.5064  0.1607  0.5001
Cr  0.6669  0.0031  0.0009
Cr  0.8305  0.1695  0.5000
Cr  0.8393  0.4936  0.4999
Cr  0.9969  0.3331  0.9991
O  0.0327  0.3906  0.3862
O  0.0372  0.0333  0.3861
O  0.0609  0.6961  0.3867
O  0.1083  0.4659  0.1135
O  0.1340  0.1304  0.1141
O  0.1379  0.7709  0.1140
O  0.1989  0.5581  0.8869
O  0.2041  0.1999  0.8855
O  0.2291  0.8621  0.8860
O  0.2758  0.6336  0.6132
O  0.3002  0.2964  0.6142
O  0.3039  0.9391  0.6133
O  0.3664  0.7242  0.3868
O  0.3706  0.3668  0.3861
O  0.3947  0.0295  0.3870
O  0.4419  0.8011  0.1131
O  0.4667  0.4623  0.1137
O  0.4718  0.1048  0.1131
O  0.5341  0.8917  0.8865
O  0.5377  0.5333  0.8863
O  0.5621  0.2010  0.8889
O  0.6094  0.9673  0.6138
O  0.6332  0.6294  0.6139
O  0.6375  0.2722  0.6133
O  0.6999  0.0571  0.3871
O  0.7036  0.6998  0.3858
O  0.7278  0.3624  0.3867
O  0.7791  0.1305  0.1136
O  0.7990  0.4379  0.1111
O  0.8001  0.7959  0.1145
O  0.8695  0.2209  0.8864
O  0.8696  0.8660  0.8859
O  0.8952  0.5282  0.8869
O  0.9429  0.3001  0.6129
O  0.9667  0.9628  0.6139
O  0.9705  0.6053  0.6130

Record 3
DFT (PBE with a Hubbard U) results for crystalline MgInNi2SbO6 at its relaxed geometry.

## Properties
Symmetry: P1 (1)
ΔE_f in meV per atom: -1612

Cell lengths 5.5045, 5.5204, 6.0768 Å; angles 64.38, 69.15, 60.93 degrees
Positions (direct):
Mg  0.0000  0.0000  0.0000
In  0.7701  0.8338  0.6031
Ni  0.1048  0.2523  0.4134
Ni  0.5174  0.6732  0.1656
Sb  0.4243  0.4576  0.7985
O  0.0660  0.9756  0.3170
O  0.2468  0.5362  0.1429
O  0.3127  0.9571  0.6894
O  0.6826  0.9886  0.9153
O  0.7101  0.5545  0.4417
O  0.7589  0.4443  0.9019

Number 1: V 12.1 Å³ per atom. Number 2: V 8.8 Å³ per atom. Number 3: V 13.0 Å³ per atom.